# 1
Material: Mg3Si4
Method: DFT, GGA-PBE
State: relaxed

Calculated values
Energy of formation from the pure elements (eV/atom): 0.17
Crystal system: monoclinic
Polymorph energy (0 for the lowest one) (meV/atom): 78.5

Cell: 7.5640 4.1235 8.4405 Å, 90.00 107.24 90.00°
Space group P2_1/m (No. 11)
Symmetry-distinct sites (fractional):
1 Mg 0.0262 0.2500 0.1220 [2 per cell]
2 Mg 0.3207 0.2500 0.9052 [2 per cell]
3 Mg 0.3370 0.2500 0.5005 [2 per cell]
4 Si 0.0571 0.7500 0.3401 [2 per cell]
5 Si 0.1594 0.7500 0.6420 [2 per cell]
6 Si 0.2929 0.7500 0.1783 [2 per cell]
7 Si 0.4969 0.7500 0.7524 [2 per cell]

# 2
Material: Mg4Si3
Method: DFT, GGA-PBE
State: relaxed

Calculated values
Energy of formation from the pure elements (eV/atom): 0.16
Crystal system: triclinic
Polymorph energy (0 for the lowest one) (meV/atom): 151.7

Cell: 6.2492 6.8036 7.3948 Å, 104.08 99.47 103.62°
Space group P1 (No. 1)
Symmetry-distinct sites (fractional):
1 Mg 0.0000 0.0000 0.0000 [1 per cell]
2 Mg 0.0233 0.2278 0.4217 [1 per cell]
3 Mg 0.3967 0.7324 0.7304 [1 per cell]
4 Mg 0.4315 0.2288 0.7544 [1 per cell]
5 Mg 0.5309 0.0637 0.1663 [1 per cell]
6 Mg 0.5840 0.7825 0.4003 [1 per cell]
7 Mg 0.8542 0.5480 0.7087 [1 per cell]
8 Mg 0.9201 0.4036 0.0913 [1 per cell]
9 Si 0.0352 0.8027 0.2723 [1 per cell]
10 Si 0.0570 0.9000 0.6160 [1 per cell]
11 Si 0.3715 0.3878 0.1233 [1 per cell]
12 Si 0.4535 0.4097 0.4611 [1 per cell]
13 Si 0.6450 0.6651 0.0378 [1 per cell]
14 Si 0.8216 0.1318 0.6951 [1 per cell]

# 3
Material: Mg4Si3
Method: DFT, GGA-PBE
State: relaxed

Calculated values
Energy of formation from the pure elements (eV/atom): 0.08
Crystal system: triclinic
Polymorph energy (0 for the lowest one) (meV/atom): 72.9

Cell: 7.0797 8.1863 10.3355 Å, 88.83 78.63 64.71°
Space group P1 (No. 1)
Symmetry-distinct sites (fractional):
1 Mg 0.0000 0.0000 0.0000 [1 per cell]
2 Mg 0.0114 0.7457 0.5457 [1 per cell]
3 Mg 0.1663 0.3457 0.6336 [1 per cell]
4 Mg 0.1976 0.9121 0.2604 [1 per cell]
5 Mg 0.1991 0.2792 0.1363 [1 per cell]
6 Mg 0.2325 0.8706 0.7242 [1 per cell]
7 Mg 0.3192 0.4971 0.8409 [1 per cell]
8 Mg 0.3733 0.4781 0.3311 [1 per cell]
9 Mg 0.4811 0.7923 0.9658 [1 per cell]
10 Mg 0.5073 0.8089 0.4616 [1 per cell]
11 Mg 0.5831 0.0124 0.6847 [1 per cell]
12 Mg 0.6323 0.9747 0.1795 [1 per cell]
13 Mg 0.7077 0.1114 0.4242 [1 per cell]
14 Mg 0.8045 0.2627 0.7631 [1 per cell]
15 Mg 0.8651 0.4146 0.4273 [1 per cell]
16 Mg 0.9032 0.5030 0.9653 [1 per cell]
17 Si 0.0636 0.0695 0.5198 [1 per cell]
18 Si 0.2032 0.6331 0.0976 [1 per cell]
19 Si 0.2295 0.1675 0.8676 [1 per cell]
20 Si 0.3058 0.1736 0.3796 [1 per cell]
21 Si 0.4578 0.4920 0.5840 [1 per cell]
22 Si 0.5674 0.3932 0.0433 [1 per cell]
23 Si 0.5876 0.0987 0.9365 [1 per cell]
24 Si 0.6622 0.6264 0.2142 [1 per cell]
25 Si 0.6791 0.6274 0.6940 [1 per cell]
26 Si 0.7959 0.2761 0.1991 [1 per cell]
27 Si 0.8818 0.7961 0.8247 [1 per cell]
28 Si 0.9266 0.7181 0.3000 [1 per cell]

# 4
Material: Mg4Si3
Method: DFT, GGA-PBE
State: relaxed

Calculated values
Energy of formation from the pure elements (eV/atom): 0.07
Crystal system: triclinic
Polymorph energy (0 for the lowest one) (meV/atom): 70.1

Cell: 6.4904 7.8386 11.7569 Å, 93.13 95.06 114.02°
Space group P1 (No. 1)
Symmetry-distinct sites (fractional):
1 Mg 0.0000 0.0000 0.0000 [1 per cell]
2 Mg 0.0055 0.9075 0.4542 [1 per cell]
3 Mg 0.0491 0.7759 0.7642 [1 per cell]
4 Mg 0.1264 0.7593 0.2256 [1 per cell]
5 Mg 0.2354 0.6724 0.9867 [1 per cell]
6 Mg 0.2773 0.5182 0.7400 [1 per cell]
7 Mg 0.3164 0.3095 0.5131 [1 per cell]
8 Mg 0.4109 0.3501 0.9687 [1 per cell]
9 Mg 0.4914 0.7656 0.4243 [1 per cell]
10 Mg 0.5304 0.0199 0.8795 [1 per cell]
11 Mg 0.6693 0.3764 0.7462 [1 per cell]
12 Mg 0.6787 0.4693 0.3280 [1 per cell]
13 Mg 0.7514 0.9374 0.6863 [1 per cell]
14 Mg 0.7602 0.9890 0.2372 [1 per cell]
15 Mg 0.7829 0.2194 0.4997 [1 per cell]
16 Mg 0.8798 0.3503 0.0983 [1 per cell]
17 Si 0.0804 0.4476 0.3607 [1 per cell]
18 Si 0.1124 0.6256 0.5508 [1 per cell]
19 Si 0.2125 0.1481 0.7389 [1 per cell]
20 Si 0.2184 0.2402 0.2102 [1 per cell]
21 Si 0.3952 0.9893 0.6022 [1 per cell]
22 Si 0.4020 0.5779 0.1920 [1 per cell]
23 Si 0.4092 0.0885 0.3293 [1 per cell]
24 Si 0.4314 0.0738 0.1063 [1 per cell]
25 Si 0.6690 0.6936 0.8819 [1 per cell]
26 Si 0.7272 0.6046 0.5660 [1 per cell]
27 Si 0.7390 0.6673 0.0884 [1 per cell]
28 Si 0.9739 0.2939 0.8804 [1 per cell]

- Look up the polymorph energy (0 for the lowest one) of the first one.
  78.5 meV/atom